Entry 1:
24
Lattice="-4.755 6.943 1.524 1.103 -2.750 -8.022 -3.758 -2.661 0.396" Properties=species:S:1:pos:R:3 comment="V2OF5 PBE+U optimized geometry" e_above_lowest_polymorph_mev_per_atom=52 space_group="P3, No. 143" vol_a3_per_cell=292.7 m_tot_mub_per_cell=9.0 pbc="T T T"
F -6.155 2.086 -4.373
F -3.375 -1.657 -2.812
V -1.109 -3.012 -5.070
V -3.780 0.506 -6.773
F -4.452 4.170 -0.428
F -4.067 3.205 -3.266
F -6.784 3.723 0.667
F -1.238 -0.508 -1.596
V -5.351 -0.337 0.894
O -2.171 0.020 -6.540
O -2.528 0.975 -3.503
F -0.529 -2.284 -6.815
F -3.617 2.227 -5.810
F -6.596 3.010 -1.934
F -4.657 -0.195 -5.164
F -2.773 1.718 -0.976
F -2.951 -2.677 -5.656
V -3.033 0.144 -2.112
F -3.835 -0.598 -0.387
F -4.943 0.594 -2.472
V -8.137 3.353 -0.760
O -0.764 -1.615 -4.170
V -6.193 0.137 -3.921
F -5.322 1.545 0.323


Entry 2:
18
Lattice="3.211 -1.948 -4.139 5.180 1.492 1.473 3.190 -5.837 2.457" Properties=species:S:1:pos:R:3 comment="V2O3F PBE+U optimized geometry" e_above_lowest_polymorph_mev_per_atom=4 space_group="C2, No. 5" vol_a3_per_cell=199.8 pbc="T T T"
F 3.793 -0.931 -2.480
V 5.088 1.330 1.209
O 5.522 -3.012 2.441
F 4.325 -5.069 -0.944
V 6.738 -2.109 -0.737
V 8.246 -5.180 0.249
O 6.574 -0.585 -1.976
O 4.574 0.433 -0.255
F 6.070 -3.294 -2.644
O 7.246 -1.209 0.731
O 4.995 -5.730 1.731
O 4.841 -2.369 -0.252
O 6.738 -3.928 0.037
V 3.321 -1.139 -0.499
V 5.001 -3.910 0.976
O 8.478 -2.127 -1.671
O 3.104 -4.165 1.464
V 6.765 -1.444 2.673


Entry 3:
30
Lattice="3.208 -3.406 0.000 3.208 3.406 0.000 0.000 0.000 15.175" Properties=species:S:1:pos:R:3 comment="V2O3F PBE+U optimized geometry" e_above_lowest_polymorph_mev_per_atom=6 space_group="Amm2, No. 38" vol_a3_per_cell=331.6 pbc="T T T"
O 3.208 2.099 7.587
V 3.208 -3.383 6.066
V 3.208 -0.252 4.561
V 3.208 -3.383 9.108
O 1.975 0.027 6.073
O 4.441 0.027 9.102
O 4.446 0.006 12.135
V 3.208 -0.252 10.614
V 3.208 -3.343 3.031
V 3.208 0.317 7.587
F 3.208 -2.003 7.587
V 3.208 -0.222 13.654
O 4.446 0.026 0.000
O 4.441 0.027 6.073
O 3.208 -2.042 10.620
O 3.208 -2.042 4.555
F 3.208 2.049 10.635
O 1.969 0.026 0.000
F 3.208 2.062 1.511
O 1.969 0.006 3.040
V 3.208 -3.328 0.000
V 3.208 -3.343 12.144
O 3.208 -2.019 1.519
O 3.208 -2.019 13.655
O 4.446 0.006 3.040
O 1.969 0.006 12.135
F 3.208 2.062 13.663
O 1.975 0.027 9.102
V 3.208 -0.222 1.520
F 3.208 2.049 4.540


Entry 4:
24
Lattice="-0.354 3.095 4.153 2.264 -1.450 4.475 11.222 6.119 -3.427" Properties=species:S:1:pos:R:3 comment="V2O3F3 PBE+U optimized geometry" e_above_lowest_polymorph_mev_per_atom=9 space_group="P1, No. 1" vol_a3_per_cell=312.5 pbc="T T T"
V 3.081 1.936 5.138
F 8.506 3.360 3.441
F 10.409 6.279 -1.740
O 4.670 4.516 1.752
F 9.007 7.082 3.397
F 4.959 1.408 5.286
O 10.425 4.962 4.280
O 7.955 5.313 5.148
V 9.928 5.672 0.198
F 1.335 2.913 5.039
O 2.515 0.480 4.529
O 2.693 1.576 6.998
F 11.782 4.939 0.165
F 6.151 2.381 2.609
V 4.398 2.354 1.680
V 8.850 5.175 3.723
F 3.525 2.778 3.410
V 5.211 5.902 2.468
O 5.251 2.524 -0.027
F 7.051 5.462 2.576
O 4.119 0.710 1.707
O 9.543 5.121 1.726
O 10.571 7.410 0.722
V 10.902 9.071 0.617


Entry 5:
10
Lattice="-1.928 2.854 -4.476 0.386 -2.549 -5.025 -4.524 -1.990 0.512" Properties=species:S:1:pos:R:3 comment="VOF3 PBE+U optimized geometry" space_group="C2, No. 5" vol_a3_per_cell=141.1 e_ij_max_c_m2=1.49 m_tot_mub_per_cell=0.0 pbc="T T T"
V -2.642 -1.755 -4.587
O -1.373 -0.740 -3.834
F -2.592 0.136 -5.624
O -4.304 -1.852 -5.247
F -5.817 0.270 -5.266
F -2.614 -3.089 -3.473
F -1.846 1.775 -3.344
V -1.088 0.892 -4.675
F -3.957 -0.690 -3.250
F -1.785 -2.487 -5.910


Entry 6:
16
Lattice="5.298 0.000 0.000 0.000 5.443 0.000 0.000 0.275 7.129" Properties=species:S:1:pos:R:3 comment="V4O7F5 PBE+U optimized geometry" e_above_lowest_polymorph_mev_per_atom=56 space_group="P2, No. 3" vol_a3_per_cell=205.6 m_tot_mub_per_cell=1.0 pbc="T T T"
O 2.239 2.859 3.564
O 4.243 1.759 5.061
V 2.467 3.113 5.315
O 0.400 0.138 3.564
O 4.243 3.959 2.068
O 1.128 4.000 5.684
V 5.199 5.274 1.815
V 5.199 0.445 5.314
F 1.610 1.342 5.660
F 1.610 4.377 1.469
O 1.128 1.718 1.445
O 5.000 0.000 0.000
V 2.467 2.605 1.814
F 3.764 4.538 5.040
F 3.222 2.722 0.000
F 3.764 1.181 2.088


Entry 7:
18
Lattice="3.212 4.625 0.000 -3.212 4.625 0.000 0.000 3.201 6.916" Properties=species:S:1:pos:R:3 comment="V6O7F5 PBE+U optimized geometry" e_above_lowest_polymorph_mev_per_atom=17 space_group="Cm, No. 8" vol_a3_per_cell=205.5 m_tot_mub_per_cell=11.0 pbc="T T T"
O 0.000 5.188 2.530
V 0.000 7.156 2.264
F 0.000 9.239 2.054
O -1.955 7.267 2.279
F 0.000 7.212 0.223
O -1.929 5.210 4.606
F 0.000 3.170 4.880
V 0.000 9.254 0.017
F 0.000 5.222 6.674
F 0.000 7.244 4.331
O -1.263 4.597 0.012
V 0.000 10.839 3.460
V 0.000 3.817 1.331
O 1.263 4.597 0.012
O 1.929 5.210 4.606
O 1.955 7.267 2.279
V 0.000 5.205 4.575
V 0.000 8.816 5.739


Entry 8:
16
Lattice="-5.213 0.002 0.002 -0.001 6.172 -4.358 0.003 -3.284 -4.296" Properties=species:S:1:pos:R:3 comment="VOF2 PBE+U optimized geometry" space_group="P1, No. 1" vol_a3_per_cell=212.8 pbc="T T T"
V -5.101 2.978 -8.465
F -3.755 0.856 -5.809
O -1.159 0.477 -5.065
F -4.726 1.544 -1.088
O -4.138 2.394 -3.577
F -0.547 1.346 -7.560
F -2.129 2.993 -5.407
F -1.543 -2.269 -3.609
V -2.455 -1.511 -2.046
F -1.560 2.079 -2.846
V -2.445 1.315 -4.427
F -3.791 5.115 -5.048
V -5.101 2.998 -2.366
F -3.149 -0.101 -3.243
O -1.186 -0.661 -1.389
O -4.118 3.570 -7.263


These records have formation energy values of -2.99; -2.67; -2.66; -2.65; -2.62; -2.50; -2.75; -2.84 eV per atom, in the order they appear.